Version 1
Computed, not measured: crystalline CrP2O7 at its relaxed geometry at the PBE+U level of DFT.

The space group is No. 15.

abc: 6.2321 6.2321 13.1729
angles: 105.35 105.35 80.63
Sites, in units of the cell vectors:
Cr 0.0862 0.6211 0.8549
Cr 0.3789 0.9138 0.6451
Cr 0.6211 0.0862 0.3549
Cr 0.9138 0.3789 0.1451
P 0.0848 0.1673 0.9297
P 0.1673 0.0848 0.4297
P 0.2467 0.4182 0.6360
P 0.4182 0.2467 0.1360
P 0.5818 0.7533 0.8640
P 0.7533 0.5818 0.3640
P 0.8327 0.9152 0.5703
P 0.9152 0.8327 0.0703
O 0.0280 0.9395 0.8554
O 0.0605 0.9720 0.6446
O 0.0709 0.5224 0.7028
O 0.0946 0.7127 0.0079
O 0.1081 0.3067 0.5174
O 0.1421 0.3170 0.8678
O 0.2284 0.4047 0.1778
O 0.2873 0.9054 0.4921
O 0.3067 0.1081 0.0174
O 0.3170 0.1421 0.3678
O 0.3721 0.5953 0.6222
O 0.4047 0.2284 0.6778
O 0.4047 0.6279 0.8778
O 0.4776 0.9291 0.7972
O 0.5224 0.0709 0.2028
O 0.5953 0.3721 0.1222
O 0.5953 0.7716 0.3222
O 0.6279 0.4047 0.3778
O 0.6830 0.8579 0.6322
O 0.6933 0.8919 0.9826
O 0.7127 0.0946 0.5079
O 0.7716 0.5953 0.8222
O 0.8579 0.6830 0.1322
O 0.8919 0.6933 0.4826
O 0.9054 0.2873 0.9921
O 0.9291 0.4776 0.2972
O 0.9395 0.0280 0.3554
O 0.9720 0.0605 0.1446

Version 2
Computed, not measured: crystalline CrP2O7 at its relaxed geometry at the PBE+U level of DFT.

The space group is No. 5.

abc: 5.1535 5.1535 4.5486
angles: 98.18 98.18 100.13
Sites, in units of the cell vectors:
Cr 0.0000 0.0000 0.0000
P 0.1476 0.4463 0.5901
P 0.5537 0.8524 0.4099
O 0.0250 0.6676 0.7366
O 0.2242 0.2553 0.8026
O 0.3324 0.9750 0.2634
O 0.4266 0.5734 0.5000
O 0.7036 0.0340 0.7046
O 0.7447 0.7758 0.1974
O 0.9660 0.2964 0.2954

It is version 1 that is most stable; the runner-up trails by 10 meV per atom.

Version 1
Computed, not measured: crystalline CrP2O7 at its relaxed geometry at the PBE+U level of DFT.

The space group is No. 2.

abc: 6.3359 6.4153 6.9050
angles: 89.09 66.26 85.42
Sites, in units of the cell vectors:
Cr 0.0981 0.1432 0.2930
Cr 0.9019 0.8568 0.7070
P 0.2280 0.6370 0.2514
P 0.3370 0.8881 0.8497
P 0.6630 0.1119 0.1503
P 0.7720 0.3630 0.7486
O 0.0618 0.8313 0.3766
O 0.0927 0.4444 0.2773
O 0.2079 0.8522 0.7111
O 0.2410 0.0867 0.9882
O 0.3051 0.6943 0.0075
O 0.4060 0.1125 0.2944
O 0.4312 0.6009 0.3130
O 0.5688 0.3991 0.6870
O 0.5940 0.8875 0.7056
O 0.6949 0.3057 0.9925
O 0.7590 0.9133 0.0118
O 0.7921 0.1478 0.2889
O 0.9073 0.5556 0.7227
O 0.9382 0.1687 0.6234

Version 2
Computed, not measured: crystalline CrP2O7 at its relaxed geometry at the PBE+U level of DFT.

The space group is No. 11.

abc: 6.7935 8.3253 9.0988
angles: 90.00 104.15 90.00
Sites, in units of the cell vectors:
Cr 0.2504 0.0639 0.2500
Cr 0.2504 0.4361 0.2500
Cr 0.7496 0.5639 0.7500
Cr 0.7496 0.9361 0.7500
P 0.9997 0.2500 0.4445
P 0.0003 0.7500 0.5555
P 0.0849 0.7500 0.0257
P 0.4152 0.7500 0.4733
P 0.4978 0.7500 0.9433
P 0.5022 0.2500 0.0567
P 0.5848 0.2500 0.5267
P 0.9151 0.2500 0.9743
O 0.0331 0.0950 0.3602
O 0.0331 0.4050 0.3602
O 0.0924 0.5976 0.1169
O 0.0924 0.9024 0.1169
O 0.1085 0.2500 0.1114
O 0.1293 0.2500 0.6059
O 0.2364 0.7500 0.5600
O 0.2609 0.7500 0.9363
O 0.3752 0.2500 0.8945
O 0.3928 0.2500 0.3885
O 0.4094 0.5975 0.3824
O 0.4094 0.9025 0.3824
O 0.4678 0.0949 0.1404
O 0.4678 0.4051 0.1404
O 0.5322 0.5949 0.8596
O 0.5322 0.9051 0.8596
O 0.5906 0.0975 0.6176
O 0.5906 0.4025 0.6176
O 0.6072 0.7500 0.6115
O 0.6248 0.7500 0.1055
O 0.7391 0.2500 0.0637
O 0.7636 0.2500 0.4400
O 0.8707 0.7500 0.3941
O 0.8915 0.7500 0.8886
O 0.9076 0.0976 0.8831
O 0.9076 0.4024 0.8831
O 0.9669 0.5950 0.6398
O 0.9669 0.9050 0.6398

Version 3
Computed, not measured: crystalline CrP2O7 at its relaxed geometry at the PBE+U level of DFT.

The space group is No. 14.

abc: 7.0520 8.1968 9.0295
angles: 90.00 114.72 90.00
Sites, in units of the cell vectors:
Cr 0.2352 0.0855 0.1126
Cr 0.2352 0.4145 0.6126
Cr 0.7648 0.5855 0.3874
Cr 0.7648 0.9145 0.8874
P 0.0689 0.7298 0.7472
P 0.0689 0.7702 0.2472
P 0.4633 0.7400 0.0389
P 0.4633 0.7600 0.5389
P 0.5367 0.2400 0.4611
P 0.5367 0.2600 0.9611
P 0.9311 0.2298 0.7528
P 0.9311 0.2702 0.2528
O 0.0151 0.5831 0.6228
O 0.0151 0.9169 0.1228
O 0.0992 0.2476 0.1888
O 0.0992 0.2524 0.6888
O 0.1157 0.6152 0.1800
O 0.1157 0.8848 0.6800
O 0.2661 0.6557 0.8955
O 0.2661 0.8443 0.3955
O 0.3716 0.2343 0.0276
O 0.3716 0.2657 0.5276
O 0.3908 0.5996 0.5834
O 0.3908 0.9004 0.0834
O 0.4675 0.1085 0.3305
O 0.4675 0.3915 0.8305
O 0.5325 0.6085 0.1695
O 0.5325 0.8915 0.6695
O 0.6092 0.0996 0.9166
O 0.6092 0.4004 0.4166
O 0.6284 0.7343 0.4724
O 0.6284 0.7657 0.9724
O 0.7339 0.1557 0.6045
O 0.7339 0.3443 0.1045
O 0.8843 0.1152 0.3200
O 0.8843 0.3848 0.8200
O 0.9008 0.7476 0.3112
O 0.9008 0.7524 0.8112
O 0.9849 0.0831 0.8772
O 0.9849 0.4169 0.3772

It is version 1 that is most stable; the runner-up trails by 24 meV per atom.

Version 1
Computed, not measured: crystalline CrP2O7 at its relaxed geometry at the PBE+U level of DFT.

The space group is No. 2.

abc: 6.1460 6.5770 7.2810
angles: 90.68 96.46 111.06
Sites, in units of the cell vectors:
Cr 0.1182 0.2395 0.2913
Cr 0.8818 0.7605 0.7087
P 0.2221 0.2422 0.8807
P 0.3223 0.6357 0.6179
P 0.6777 0.3643 0.3821
P 0.7779 0.7578 0.1193
O 0.0068 0.0740 0.7645
O 0.1410 0.3287 0.0544
O 0.1883 0.7830 0.6656
O 0.2410 0.5292 0.4231
O 0.2881 0.4543 0.7623
O 0.4148 0.2156 0.3573
O 0.4311 0.1821 0.9353
O 0.5689 0.8179 0.0647
O 0.5852 0.7844 0.6427
O 0.7119 0.5457 0.2377
O 0.7590 0.4708 0.5769
O 0.8117 0.2170 0.3344
O 0.8590 0.6713 0.9456
O 0.9932 0.9260 0.2355

Version 2
Computed, not measured: crystalline CrP2O7 at its relaxed geometry at the PBE+U level of DFT.

The space group is No. 14.

abc: 5.1167 8.2074 13.6829
angles: 90.00 106.46 90.00
Sites, in units of the cell vectors:
Cr 0.1426 0.1517 0.3671
Cr 0.1426 0.3483 0.8671
Cr 0.8574 0.6517 0.1329
Cr 0.8574 0.8483 0.6329
P 0.0483 0.5447 0.3136
P 0.0483 0.9553 0.8136
P 0.2346 0.6992 0.9794
P 0.2346 0.8008 0.4794
P 0.7654 0.1992 0.5206
P 0.7654 0.3008 0.0206
P 0.9517 0.0447 0.1864
P 0.9517 0.4553 0.6864
O 0.0080 0.1306 0.8404
O 0.0080 0.3694 0.3404
O 0.0278 0.1711 0.4904
O 0.0278 0.3289 0.9904
O 0.1944 0.5645 0.2298
O 0.1944 0.9355 0.7298
O 0.1998 0.6281 0.4188
O 0.1998 0.8719 0.9188
O 0.2270 0.1318 0.2376
O 0.2270 0.3682 0.7376
O 0.2693 0.5679 0.9042
O 0.2693 0.9321 0.4042
O 0.4856 0.7298 0.0675
O 0.4856 0.7702 0.5675
O 0.5144 0.2298 0.4325
O 0.5144 0.2702 0.9325
O 0.7307 0.0679 0.5958
O 0.7307 0.4321 0.0958
O 0.7730 0.6318 0.2624
O 0.7730 0.8682 0.7624
O 0.8002 0.1281 0.0812
O 0.8002 0.3719 0.5812
O 0.8056 0.0645 0.2702
O 0.8056 0.4355 0.7702
O 0.9722 0.6711 0.0096
O 0.9722 0.8289 0.5096
O 0.9920 0.6306 0.6596
O 0.9920 0.8694 0.1596

It is version 2 that is most stable; the runner-up trails by 62 meV per atom.